Compound: Na4SnO4
Source: Materials Project
Functional: r2SCAN
Structure: optimized geometry

Properties
**Calculated total energy**: -78.5 eV/f.u.
**Energy relative to the elements**: -15.59 eV per formula unit
**Space-group type**: No. 2

abc: 5.8503 5.8609 8.8028
angles: 82.28 71.13 68.53
Closest atoms and distances in Å follow each position.
Atoms (fractional coordinates):
Na 0.0186 0.2638 0.4356  5 O 2.32-2.54
Na 0.1125 0.7198 0.1961  4 O 2.29-2.34
Na 0.2548 0.2434 0.0077  4 O 2.29-2.37
Na 0.4365 0.2493 0.5959  5 O 2.37-2.58
Na 0.5635 0.7507 0.4041  5 O 2.37-2.58
Na 0.7452 0.7566 0.9923  4 O 2.29-2.37
Na 0.8875 0.2802 0.8039  4 O 2.29-2.34
Na 0.9814 0.7362 0.5644  5 O 2.32-2.54
Sn 0.3405 0.7217 0.7653  4 O 1.95-1.98
Sn 0.6595 0.2783 0.2347  4 O 1.95-1.98
O 0.1243 0.5160 0.8048  1 Sn 1.97
O 0.2005 0.9867 0.6199  1 Sn 1.98
O 0.3205 0.4792 0.3726  1 Sn 1.98
O 0.3503 0.8405 0.9588  1 Sn 1.95
O 0.6497 0.1595 0.0412  1 Sn 1.95
O 0.6795 0.5208 0.6274  1 Sn 1.98
O 0.7995 0.0133 0.3801  1 Sn 1.98
O 0.8757 0.4840 0.1952  1 Sn 1.97